#w
Li7V3P8O29 | PBE+U | optimized geometry

Cell: 9.8652 9.8693 13.9190 Å, 89.91 89.39 60.11°
Space group P1 (No. 1)
Unique sites:
Li1 0.0000 0.0000 0.0000 [1 per cell]
Li2 0.0023 0.5651 0.9513 [1 per cell]
Li3 0.3339 0.9030 0.6814 [1 per cell]
Li4 0.3393 0.9049 0.1822 [1 per cell]
Li5 0.3441 0.4658 0.1259 [1 per cell]
Li6 0.3514 0.3284 0.6295 [1 per cell]
Li7 0.4375 0.1389 0.0017 [1 per cell]
Li8 0.4457 0.5460 0.5050 [1 per cell]
Li9 0.5766 0.5600 0.0034 [1 per cell]
Li10 0.5830 0.0084 0.5030 [1 per cell]
Li11 0.7138 0.2045 0.0657 [1 per cell]
Li12 0.7654 0.4589 0.6237 [1 per cell]
Li13 0.8978 0.9113 0.6285 [1 per cell]
Li14 0.9842 0.1476 0.5020 [1 per cell]
V1 0.1000 0.2381 0.3140 [1 per cell]
V2 0.1027 0.8032 0.8150 [1 per cell]
V3 0.2370 0.2332 0.8165 [1 per cell]
V4 0.2367 0.6671 0.3181 [1 per cell]
V5 0.6710 0.6695 0.8166 [1 per cell]
V6 0.6772 0.7980 0.3089 [1 per cell]
P1 0.0023 0.5702 0.6901 [1 per cell]
P2 0.0085 0.5637 0.1924 [1 per cell]
P3 0.3388 0.9020 0.4373 [1 per cell]
P4 0.3404 0.8992 0.9423 [1 per cell]
P5 0.3501 0.3207 0.4073 [1 per cell]
P6 0.3501 0.4646 0.9088 [1 per cell]
P7 0.4403 0.5579 0.7230 [1 per cell]
P8 0.4454 0.1440 0.2222 [1 per cell]
P9 0.5799 0.5511 0.2224 [1 per cell]
P10 0.5831 0.0006 0.7203 [1 per cell]
P11 0.7554 0.9242 0.9077 [1 per cell]
P12 0.7558 0.4689 0.4059 [1 per cell]
P13 0.8926 0.3226 0.9074 [1 per cell]
P14 0.9002 0.9176 0.4055 [1 per cell]
P15 0.9908 0.0078 0.2215 [1 per cell]
P16 0.9941 0.1458 0.7193 [1 per cell]
O1 0.0017 0.4232 0.2364 [1 per cell]
O2 0.0087 0.5655 0.0852 [1 per cell]
O3 0.0172 0.1495 0.2310 [1 per cell]
O4 0.0401 0.3388 0.9028 [1 per cell]
O5 0.0504 0.7578 0.3853 [1 per cell]
O6 0.1496 0.4227 0.7299 [1 per cell]
O7 0.1520 0.8587 0.2340 [1 per cell]
O8 0.1576 0.5636 0.2301 [1 per cell]
O9 0.1616 0.1147 0.7378 [1 per cell]
O10 0.1850 0.6065 0.8972 [1 per cell]
O11 0.1868 0.0484 0.4003 [1 per cell]
O12 0.1889 0.9047 0.9071 [1 per cell]
O13 0.1930 0.3281 0.3887 [1 per cell]
O14 0.2975 0.1284 0.2352 [1 per cell]
O15 0.3017 0.7247 0.7380 [1 per cell]
O16 0.3317 0.4863 0.4078 [1 per cell]
O17 0.3413 0.3138 0.9084 [1 per cell]
O18 0.3415 0.7486 0.4003 [1 per cell]
O19 0.3416 0.9009 0.5454 [1 per cell]
O20 0.3476 0.0446 0.9064 [1 per cell]
O21 0.3534 0.8850 0.0504 [1 per cell]
O22 0.4111 0.5733 0.2299 [1 per cell]
O23 0.4243 0.1517 0.7203 [1 per cell]
O24 0.4252 0.4790 0.6341 [1 per cell]
O25 0.4277 0.2331 0.4973 [1 per cell]
O26 0.4363 0.4716 0.9966 [1 per cell]
O27 0.4417 0.2363 0.1346 [1 per cell]
O28 0.4532 0.4531 0.8148 [1 per cell]
O29 0.4598 0.2347 0.3156 [1 per cell]
O30 0.4883 0.7474 0.8980 [1 per cell]
O31 0.4876 0.9020 0.3946 [1 per cell]
O32 0.5559 0.8603 0.7396 [1 per cell]
O33 0.5625 0.7156 0.2346 [1 per cell]
O34 0.5887 0.9808 0.2244 [1 per cell]
O35 0.5934 0.5644 0.7220 [1 per cell]
O36 0.6558 0.4666 0.1316 [1 per cell]
O37 0.6583 0.0262 0.9893 [1 per cell]
O38 0.6671 0.4470 0.3145 [1 per cell]
O39 0.6667 0.4764 0.4959 [1 per cell]
O40 0.6755 0.9788 0.6289 [1 per cell]
O41 0.6804 0.0135 0.8076 [1 per cell]
O42 0.7471 0.4885 0.9078 [1 per cell]
O43 0.7549 0.8995 0.4053 [1 per cell]
O44 0.7661 0.6164 0.3894 [1 per cell]
O45 0.7690 0.7600 0.8996 [1 per cell]
O46 0.8504 0.5744 0.7402 [1 per cell]
O47 0.8575 0.7143 0.2352 [1 per cell]
O48 0.8804 0.2256 0.9867 [1 per cell]
O49 0.8825 0.2462 0.8069 [1 per cell]
O50 0.8826 0.0239 0.3136 [1 per cell]
O51 0.9052 0.0178 0.1316 [1 per cell]
O52 0.9162 0.9915 0.4956 [1 per cell]
O53 0.9188 0.3192 0.4043 [1 per cell]
O54 0.9205 0.9025 0.9087 [1 per cell]
O55 0.9227 0.2383 0.6290 [1 per cell]
O56 0.9858 0.5676 0.5838 [1 per cell]
O57 0.9977 0.9884 0.7201 [1 per cell]
O58 0.9988 0.7214 0.7267 [1 per cell]


#x
Li7V3P8O29 | PBE+U | optimized geometry

Cell: 9.8421 9.8503 13.9309 Å, 89.75 89.86 60.18°
Space group P1 (No. 1)
Unique sites:
Li1 0.0000 0.0000 0.0000 [1 per cell]
Li2 0.0016 0.5765 0.5519 [1 per cell]
Li3 0.0043 0.5776 0.0499 [1 per cell]
Li4 0.0295 0.1197 0.4958 [1 per cell]
Li5 0.0961 0.2287 0.8740 [1 per cell]
Li6 0.2446 0.2131 0.3764 [1 per cell]
Li7 0.3175 0.8484 0.9253 [1 per cell]
Li8 0.4183 0.5915 0.5035 [1 per cell]
Li9 0.4263 0.1361 0.9956 [1 per cell]
Li10 0.5579 0.9943 0.5013 [1 per cell]
Li11 0.5694 0.5627 0.9944 [1 per cell]
Li12 0.6313 0.6834 0.3772 [1 per cell]
Li13 0.6535 0.8124 0.8716 [1 per cell]
Li14 0.6698 0.2339 0.3231 [1 per cell]
V1 0.3264 0.4734 0.6920 [1 per cell]
V2 0.3355 0.3367 0.1861 [1 per cell]
V3 0.7640 0.4687 0.1863 [1 per cell]
V4 0.7665 0.9042 0.6892 [1 per cell]
V5 0.8970 0.3374 0.6866 [1 per cell]
V6 0.9026 0.9001 0.1902 [1 per cell]
P1 0.9999 0.5628 0.3098 [1 per cell]
P2 0.0097 0.1351 0.2789 [1 per cell]
P3 0.0200 0.9884 0.7845 [1 per cell]
P4 0.1032 0.2234 0.0937 [1 per cell]
P5 0.1047 0.8139 0.5991 [1 per cell]
P6 0.2408 0.2258 0.5942 [1 per cell]
P7 0.2475 0.6790 0.0985 [1 per cell]
P8 0.4152 0.1344 0.7795 [1 per cell]
P9 0.4227 0.5792 0.2855 [1 per cell]
P10 0.5604 0.5862 0.7787 [1 per cell]
P11 0.5643 0.9925 0.2797 [1 per cell]
P12 0.6507 0.8140 0.0932 [1 per cell]
P13 0.6552 0.6722 0.5946 [1 per cell]
P14 0.6606 0.2429 0.5648 [1 per cell]
P15 0.6641 0.2358 0.0622 [1 per cell]
P16 0.9972 0.5652 0.8111 [1 per cell]
O1 0.0014 0.1538 0.7726 [1 per cell]
O2 0.0060 0.4125 0.7668 [1 per cell]
O3 0.0073 0.5451 0.9184 [1 per cell]
O4 0.0785 0.2386 0.5911 [1 per cell]
O5 0.0799 0.8233 0.0962 [1 per cell]
O6 0.0823 0.1562 0.3679 [1 per cell]
O7 0.0930 0.1373 0.0071 [1 per cell]
O8 0.0964 0.9117 0.5160 [1 per cell]
O9 0.1072 0.9184 0.8768 [1 per cell]
O10 0.1179 0.1236 0.1890 [1 per cell]
O11 0.1303 0.8865 0.6971 [1 per cell]
O12 0.1419 0.5715 0.7670 [1 per cell]
O13 0.1466 0.4193 0.2699 [1 per cell]
O14 0.2177 0.3915 0.6103 [1 per cell]
O15 0.2303 0.5319 0.1021 [1 per cell]
O16 0.2511 0.2369 0.0912 [1 per cell]
O17 0.2517 0.6482 0.5973 [1 per cell]
O18 0.3205 0.6937 0.1984 [1 per cell]
O19 0.3249 0.1370 0.8682 [1 per cell]
O20 0.3277 0.1169 0.6857 [1 per cell]
O21 0.3355 0.1482 0.5053 [1 per cell]
O22 0.3422 0.6471 0.3775 [1 per cell]
O23 0.3462 0.6858 0.0178 [1 per cell]
O24 0.4131 0.1500 0.2805 [1 per cell]
O25 0.4189 0.5632 0.7757 [1 per cell]
O26 0.4229 0.2851 0.7662 [1 per cell]
O27 0.4540 0.4121 0.2645 [1 per cell]
O28 0.5104 0.3908 0.6048 [1 per cell]
O29 0.5244 0.2250 0.1047 [1 per cell]
O30 0.5458 0.6901 0.6852 [1 per cell]
O31 0.5518 0.6809 0.8676 [1 per cell]
O32 0.5518 0.8998 0.1879 [1 per cell]
O33 0.5639 0.9058 0.0050 [1 per cell]
O34 0.5784 0.9885 0.7790 [1 per cell]
O35 0.5818 0.6501 0.5059 [1 per cell]
O36 0.5824 0.8985 0.3693 [1 per cell]
O37 0.5841 0.5734 0.2769 [1 per cell]
O38 0.6540 0.2536 0.9556 [1 per cell]
O39 0.6634 0.8238 0.5930 [1 per cell]
O40 0.6636 0.0926 0.5999 [1 per cell]
O41 0.6649 0.6507 0.0933 [1 per cell]
O42 0.6665 0.3865 0.1059 [1 per cell]
O43 0.6679 0.2489 0.4571 [1 per cell]
O44 0.7069 0.0180 0.2629 [1 per cell]
O45 0.7173 0.4327 0.7708 [1 per cell]
O46 0.8090 0.2472 0.6075 [1 per cell]
O47 0.8157 0.7959 0.1045 [1 per cell]
O48 0.8179 0.0850 0.1003 [1 per cell]
O49 0.8228 0.5325 0.6124 [1 per cell]
O50 0.8417 0.2769 0.2615 [1 per cell]
O51 0.8431 0.7112 0.7797 [1 per cell]
O52 0.8508 0.5607 0.2677 [1 per cell]
O53 0.8643 0.9923 0.7743 [1 per cell]
O54 0.9559 0.3883 0.1065 [1 per cell]
O55 0.9617 0.7885 0.6120 [1 per cell]
O56 0.9875 0.7185 0.2658 [1 per cell]
O57 0.9959 0.5590 0.4170 [1 per cell]
O58 0.9957 0.9876 0.2764 [1 per cell]


So which one wins? Going from most stable to least: #w, #x.